A.
Compound: Ba2YMgNbO6
Source: the Materials Project database
Functional: PBE
Structure: optimized geometry

Geometry as CIF:
```
data_Ba2YMgNbO6
_symmetry_space_group_name_H-M 'P 1'
_symmetry_Int_Tables_number 1
_cell_length_a 6.6508
_cell_length_b 6.6500
_cell_length_c 6.6508
_cell_angle_alpha 54.01
_cell_angle_beta 54.05
_cell_angle_gamma 54.01
loop_
_symmetry_equiv_pos_as_xyz
'x,y,z'
loop_
_atom_site_label
_atom_site_type_symbol
_atom_site_fract_x
_atom_site_fract_y
_atom_site_fract_z
Ba1 Ba 0.6915 0.6930 0.6915
Ba2 Ba 0.2330 0.2345 0.2330
Y1 Y 0.0257 0.0267 0.0257
Mg1 Mg 0.8627 0.8644 0.8627
Nb1 Nb 0.5008 0.5015 0.5008
O1 O 0.2436 0.7562 0.7551
O2 O 0.2733 0.7600 0.2733
O3 O 0.7554 0.2449 0.7554
O4 O 0.2735 0.2739 0.7603
O5 O 0.7603 0.2739 0.2735
O6 O 0.7551 0.7562 0.2436
```

## Properties
**Crystal system**: trigonal

***

B.
Compound: Ba2YMgNbO6
Source: the Materials Project database
Functional: PBE
Structure: optimized geometry

Geometry as CIF:
```
data_Ba2YMgNbO6
_symmetry_space_group_name_H-M 'P 1'
_symmetry_Int_Tables_number 1
_cell_length_a 6.8571
_cell_length_b 6.8581
_cell_length_c 6.8571
_cell_angle_alpha 51.52
_cell_angle_beta 51.52
_cell_angle_gamma 51.52
loop_
_symmetry_equiv_pos_as_xyz
'x,y,z'
loop_
_atom_site_label
_atom_site_type_symbol
_atom_site_fract_x
_atom_site_fract_y
_atom_site_fract_z
Ba1 Ba 0.7753 0.7738 0.7753
Ba2 Ba 0.1984 0.1970 0.1984
Y1 Y 0.9942 0.9927 0.9942
Mg1 Mg 0.3682 0.3668 0.3682
Nb1 Nb 0.5198 0.5184 0.5198
O1 O 0.2477 0.7394 0.7400
O2 O 0.2720 0.7458 0.2720
O3 O 0.7401 0.2479 0.7401
O4 O 0.2725 0.2717 0.7468
O5 O 0.7468 0.2717 0.2725
O6 O 0.7400 0.7394 0.2477
```

## Properties
**Crystal system**: trigonal

***

Which of them is the least stable? Correct choice: A.

***

A.
Compound: Mg6CdSiO8
Source: the Materials Project database
Functional: PBE
Structure: optimized geometry

Geometry as CIF:
```
data_Mg6CdSiO8
_symmetry_space_group_name_H-M 'P 1'
_symmetry_Int_Tables_number 1
_cell_length_a 8.7122
_cell_length_b 4.4389
_cell_length_c 4.4389
_cell_angle_alpha 90.00
_cell_angle_beta 90.00
_cell_angle_gamma 90.00
loop_
_symmetry_equiv_pos_as_xyz
'x,y,z'
loop_
_atom_site_label
_atom_site_type_symbol
_atom_site_fract_x
_atom_site_fract_y
_atom_site_fract_z
Mg1 Mg 0.0000 0.5000 0.5000
Mg2 Mg 0.5000 0.5000 0.5000
Mg3 Mg 0.2470 0.0000 0.5000
Mg4 Mg 0.7530 0.0000 0.5000
Mg5 Mg 0.2470 0.5000 0.0000
Mg6 Mg 0.7530 0.5000 0.0000
Cd1 Cd 0.5000 0.0000 0.0000
Si1 Si 0.0000 0.0000 0.0000
O1 O 0.2328 0.0000 0.0000
O2 O 0.7672 0.0000 0.0000
O3 O 0.2488 0.5000 0.5000
O4 O 0.7512 0.5000 0.5000
O5 O 0.0000 0.0000 0.5000
O6 O 0.5000 0.0000 0.5000
O7 O 0.0000 0.5000 0.0000
O8 O 0.5000 0.5000 0.0000
```

## Properties
**Crystal system**: tetragonal

***

B.
Compound: Mg6CdSiO8
Source: the Materials Project database
Functional: PBE
Structure: optimized geometry

Geometry as CIF:
```
data_Mg6CdSiO8
_symmetry_space_group_name_H-M 'P 1'
_symmetry_Int_Tables_number 1
_cell_length_a 8.7970
_cell_length_b 4.4101
_cell_length_c 4.4101
_cell_angle_alpha 90.00
_cell_angle_beta 90.00
_cell_angle_gamma 90.00
loop_
_symmetry_equiv_pos_as_xyz
'x,y,z'
loop_
_atom_site_label
_atom_site_type_symbol
_atom_site_fract_x
_atom_site_fract_y
_atom_site_fract_z
Mg1 Mg 0.5000 0.0000 0.0000
Mg2 Mg 0.5000 0.5000 0.5000
Mg3 Mg 0.2589 0.0000 0.5000
Mg4 Mg 0.7411 0.0000 0.5000
Mg5 Mg 0.2589 0.5000 0.0000
Mg6 Mg 0.7411 0.5000 0.0000
Cd1 Cd 0.0000 0.5000 0.5000
Si1 Si 0.0000 0.0000 0.0000
O1 O 0.2612 0.0000 0.0000
O2 O 0.7388 0.0000 0.0000
O3 O 0.2665 0.5000 0.5000
O4 O 0.7335 0.5000 0.5000
O5 O 0.0000 0.0000 0.5000
O6 O 0.5000 0.0000 0.5000
O7 O 0.0000 0.5000 0.0000
O8 O 0.5000 0.5000 0.0000
```

## Properties
**Crystal system**: tetragonal

***

Which of them is the least stable? Correct choice: A.

***

A.
Compound: Mg6SiBO8
Source: the Materials Project database
Functional: PBE
Structure: optimized geometry

Geometry as CIF:
```
data_Mg6SiBO8
_symmetry_space_group_name_H-M 'P 1'
_symmetry_Int_Tables_number 1
_cell_length_a 8.8917
_cell_length_b 4.1954
_cell_length_c 4.1954
_cell_angle_alpha 90.00
_cell_angle_beta 90.00
_cell_angle_gamma 90.00
loop_
_symmetry_equiv_pos_as_xyz
'x,y,z'
loop_
_atom_site_label
_atom_site_type_symbol
_atom_site_fract_x
_atom_site_fract_y
_atom_site_fract_z
Mg1 Mg 0.0000 0.5000 0.5000
Mg2 Mg 0.5000 0.5000 0.5000
Mg3 Mg 0.2665 0.0000 0.5000
Mg4 Mg 0.7335 0.0000 0.5000
Mg5 Mg 0.2665 0.5000 0.0000
Mg6 Mg 0.7335 0.5000 0.0000
Si1 Si 0.0000 0.0000 0.0000
B1 B 0.5000 0.0000 0.0000
O1 O 0.1934 0.0000 0.0000
O2 O 0.8066 0.0000 0.0000
O3 O 0.2520 0.5000 0.5000
O4 O 0.7480 0.5000 0.5000
O5 O 0.0000 0.0000 0.5000
O6 O 0.5000 0.0000 0.5000
O7 O 0.0000 0.5000 0.0000
O8 O 0.5000 0.5000 0.0000
```

## Properties
**Crystal system**: tetragonal

***

B.
Compound: Mg6SiBO8
Source: the Materials Project database
Functional: PBE
Structure: optimized geometry

Geometry as CIF:
```
data_Mg6SiBO8
_symmetry_space_group_name_H-M 'P 1'
_symmetry_Int_Tables_number 1
_cell_length_a 8.6761
_cell_length_b 4.2468
_cell_length_c 4.2468
_cell_angle_alpha 90.00
_cell_angle_beta 90.00
_cell_angle_gamma 90.00
loop_
_symmetry_equiv_pos_as_xyz
'x,y,z'
loop_
_atom_site_label
_atom_site_type_symbol
_atom_site_fract_x
_atom_site_fract_y
_atom_site_fract_z
Mg1 Mg 0.5000 0.0000 0.0000
Mg2 Mg 0.5000 0.5000 0.5000
Mg3 Mg 0.2494 0.0000 0.5000
Mg4 Mg 0.7506 0.0000 0.5000
Mg5 Mg 0.2494 0.5000 0.0000
Mg6 Mg 0.7506 0.5000 0.0000
Si1 Si 0.0000 0.0000 0.0000
B1 B 0.0000 0.5000 0.5000
O1 O 0.2470 0.0000 0.0000
O2 O 0.7530 0.0000 0.0000
O3 O 0.2605 0.5000 0.5000
O4 O 0.7395 0.5000 0.5000
O5 O 0.0000 0.0000 0.5000
O6 O 0.5000 0.0000 0.5000
O7 O 0.0000 0.5000 0.0000
O8 O 0.5000 0.5000 0.0000
```

## Properties
**Crystal system**: tetragonal

***

Which of them is the least stable? Correct choice: B.

***

A.
Compound: LiNbTe3O12
Source: the Materials Project database
Functional: PBE
Structure: optimized geometry

Geometry as CIF:
```
data_LiNbTe3O12
_symmetry_space_group_name_H-M 'P 1'
_symmetry_Int_Tables_number 1
_cell_length_a 8.6761
_cell_length_b 4.9685
_cell_length_c 5.2356
_cell_angle_alpha 89.64
_cell_angle_beta 90.00
_cell_angle_gamma 90.00
loop_
_symmetry_equiv_pos_as_xyz
'x,y,z'
loop_
_atom_site_label
_atom_site_type_symbol
_atom_site_fract_x
_atom_site_fract_y
_atom_site_fract_z
Li1 Li 0.7238 0.0000 0.0000
Nb1 Nb 0.1098 0.0000 0.0000
Te1 Te 0.4168 0.5000 0.0000
Te2 Te 0.9196 0.0000 0.5000
Te3 Te 0.6059 0.5000 0.5000
O1 O 0.2625 0.2578 0.1221
O2 O 0.5820 0.2848 0.1829
O3 O 0.9186 0.1951 0.1847
O4 O 0.4429 0.7084 0.3139
O5 O 0.0729 0.7882 0.3190
O6 O 0.7514 0.7575 0.3566
O7 O 0.7514 0.2425 0.6434
O8 O 0.0729 0.2118 0.6810
O9 O 0.4429 0.2916 0.6861
O10 O 0.9186 0.8049 0.8153
O11 O 0.5820 0.7152 0.8171
O12 O 0.2625 0.7422 0.8779
```

## Properties
**Largest piezoelectric modulus**: 0.28 C/m²
**Crystal system**: monoclinic

***

B.
Compound: LiNbTe3O12
Source: the Materials Project database
Functional: PBE
Structure: optimized geometry

Geometry as CIF:
```
data_LiNbTe3O12
_symmetry_space_group_name_H-M 'P 1'
_symmetry_Int_Tables_number 1
_cell_length_a 7.4401
_cell_length_b 7.4444
_cell_length_c 7.4463
_cell_angle_alpha 87.38
_cell_angle_beta 87.70
_cell_angle_gamma 87.49
loop_
_symmetry_equiv_pos_as_xyz
'x,y,z'
loop_
_atom_site_label
_atom_site_type_symbol
_atom_site_fract_x
_atom_site_fract_y
_atom_site_fract_z
Li1 Li 0.7767 0.2691 0.2728
Li2 Li 0.2836 0.7924 0.7874
Nb1 Nb 0.9951 0.9983 0.9998
Nb2 Nb 0.4991 0.9987 0.4956
Te1 Te 0.9997 0.4987 0.9949
Te2 Te 0.9991 0.9945 0.4999
Te3 Te 0.4996 0.0006 0.9995
Te4 Te 0.9991 0.4991 0.4987
Te5 Te 0.4987 0.4966 0.9982
Te6 Te 0.4953 0.4997 0.4986
O1 O 0.2495 0.4292 0.0590
O2 O 0.0564 0.9444 0.2540
O3 O 0.0528 0.2502 0.4286
O4 O 0.4259 0.7446 0.0509
O5 O 0.4399 0.0581 0.2428
O6 O 0.2465 0.5664 0.4351
O7 O 0.0615 0.4300 0.7464
O8 O 0.5608 0.4304 0.2471
O9 O 0.2426 0.9364 0.5639
O10 O 0.7425 0.9446 0.0624
O11 O 0.4416 0.2552 0.5545
O12 O 0.9363 0.2566 0.0574
O13 O 0.0609 0.7401 0.9343
O14 O 0.5533 0.7410 0.4406
O15 O 0.2531 0.0419 0.9341
O16 O 0.7543 0.0554 0.4344
O17 O 0.4321 0.5653 0.7489
O18 O 0.9305 0.5553 0.2471
O19 O 0.7477 0.4261 0.5487
O20 O 0.5480 0.9371 0.7540
O21 O 0.5662 0.2510 0.9346
O22 O 0.9310 0.7438 0.5635
O23 O 0.9389 0.0510 0.7437
O24 O 0.7470 0.5651 0.9347
```

## Properties
**Crystal system**: triclinic

***

Which of them is the least stable? Correct choice: B.

***

A.
Compound: MgZnRe2O8
Source: the Materials Project database
Functional: PBE
Structure: optimized geometry

Geometry as CIF:
```
data_MgZnRe2O8
_symmetry_space_group_name_H-M 'P 1'
_symmetry_Int_Tables_number 1
_cell_length_a 5.4805
_cell_length_b 5.4805
_cell_length_c 7.3744
_cell_angle_alpha 90.00
_cell_angle_beta 90.00
_cell_angle_gamma 120.00
loop_
_symmetry_equiv_pos_as_xyz
'x,y,z'
loop_
_atom_site_label
_atom_site_type_symbol
_atom_site_fract_x
_atom_site_fract_y
_atom_site_fract_z
Mg1 Mg 0.3333 0.6667 0.7814
Zn1 Zn 0.0000 0.0000 0.9794
Re1 Re 0.3333 0.6667 0.2704
Re2 Re 0.6667 0.3333 0.7343
O1 O 0.6667 0.3333 0.4994
O2 O 0.3333 0.6667 0.5107
O3 O 0.6781 0.0215 0.8444
O4 O 0.0889 0.3358 0.1837
O5 O 0.6642 0.7531 0.1837
O6 O 0.2469 0.9111 0.1837
O7 O 0.9785 0.6565 0.8444
O8 O 0.3435 0.3219 0.8444
```

## Properties
**Crystal system**: trigonal

***

B.
Compound: MgZnRe2O8
Source: the Materials Project database
Functional: PBE
Structure: optimized geometry

Geometry as CIF:
```
data_MgZnRe2O8
_symmetry_space_group_name_H-M 'P 1'
_symmetry_Int_Tables_number 1
_cell_length_a 5.8199
_cell_length_b 5.8199
_cell_length_c 5.7775
_cell_angle_alpha 90.00
_cell_angle_beta 90.00
_cell_angle_gamma 120.00
loop_
_symmetry_equiv_pos_as_xyz
'x,y,z'
loop_
_atom_site_label
_atom_site_type_symbol
_atom_site_fract_x
_atom_site_fract_y
_atom_site_fract_z
Mg1 Mg 0.0000 0.0000 0.5000
Zn1 Zn 0.0000 0.0000 0.0000
Re1 Re 0.3333 0.6667 0.3119
Re2 Re 0.6667 0.3333 0.6881
O1 O 0.6667 0.3333 0.3849
O2 O 0.3333 0.6667 0.6151
O3 O 0.8427 0.1551 0.7549
O4 O 0.1551 0.3124 0.2451
O5 O 0.6876 0.8427 0.2451
O6 O 0.1573 0.8449 0.2451
O7 O 0.8449 0.6876 0.7549
O8 O 0.3124 0.1573 0.7549
```

## Properties
**Crystal system**: trigonal

***

Which of them is the least stable? Correct choice: B.

***

A.
Compound: MgTe4MoW3S4
Source: the Materials Project database
Functional: PBE
Structure: optimized geometry

Geometry as CIF:
```
data_MgTe4MoW3S4
_symmetry_space_group_name_H-M 'P 1'
_symmetry_Int_Tables_number 1
_cell_length_a 3.3564
_cell_length_b 3.3563
_cell_length_c 45.3020
_cell_angle_alpha 89.99
_cell_angle_beta 90.00
_cell_angle_gamma 120.00
loop_
_symmetry_equiv_pos_as_xyz
'x,y,z'
loop_
_atom_site_label
_atom_site_type_symbol
_atom_site_fract_x
_atom_site_fract_y
_atom_site_fract_z
Mg1 Mg 0.0000 0.0001 0.3772
Te1 Te 0.3333 0.6666 0.6999
Te2 Te 0.6667 0.3334 0.0518
Te3 Te 0.6666 0.3333 0.1352
Te4 Te 0.3334 0.6668 0.6159
Mo1 Mo 0.3333 0.6667 0.0935
W1 W 0.3333 0.6667 0.4762
W2 W 0.6666 0.3333 0.2746
W3 W 0.6667 0.3333 0.6579
S1 S 0.3333 0.6665 0.3082
S2 S 0.6667 0.3334 0.4425
S3 S 0.6666 0.3333 0.5095
S4 S 0.3333 0.6667 0.2412
```

## Properties
**Crystal system**: trigonal

***

B.
Compound: MgTe4MoW3S4
Source: the Materials Project database
Functional: PBE
Structure: optimized geometry

Geometry as CIF:
```
data_MgTe4MoW3S4
_symmetry_space_group_name_H-M 'P 1'
_symmetry_Int_Tables_number 1
_cell_length_a 3.3704
_cell_length_b 3.3705
_cell_length_c 43.7803
_cell_angle_alpha 90.00
_cell_angle_beta 90.16
_cell_angle_gamma 120.00
loop_
_symmetry_equiv_pos_as_xyz
'x,y,z'
loop_
_atom_site_label
_atom_site_type_symbol
_atom_site_fract_x
_atom_site_fract_y
_atom_site_fract_z
Mg1 Mg 0.3331 0.6666 0.3735
Te1 Te 0.3353 0.6676 0.7010
Te2 Te 0.6648 0.3324 0.0505
Te3 Te 0.6692 0.3346 0.1371
Te4 Te 0.3311 0.6655 0.6143
Mo1 Mo 0.6663 0.3332 0.2778
W1 W 0.3335 0.6668 0.0938
W2 W 0.3296 0.6648 0.4776
W3 W 0.6666 0.3333 0.6577
S1 S 0.3345 0.6673 0.3122
S2 S 0.6618 0.3309 0.4430
S3 S 0.6644 0.3322 0.5120
S4 S 0.3313 0.6657 0.2436
```

## Properties
**Crystal system**: monoclinic

***

Which of them is the least stable? Correct choice: B.

***

A.
Compound: LiCuPO4
Source: the Materials Project database
Functional: PBE
Structure: optimized geometry

Geometry as CIF:
```
data_LiCuPO4
_symmetry_space_group_name_H-M 'P 1'
_symmetry_Int_Tables_number 1
_cell_length_a 5.0664
_cell_length_b 5.0664
_cell_length_c 6.1074
_cell_angle_alpha 90.00
_cell_angle_beta 90.00
_cell_angle_gamma 112.62
loop_
_symmetry_equiv_pos_as_xyz
'x,y,z'
loop_
_atom_site_label
_atom_site_type_symbol
_atom_site_fract_x
_atom_site_fract_y
_atom_site_fract_z
Li1 Li 0.5000 0.5000 0.0000
Li2 Li 0.5000 0.5000 0.5000
Cu1 Cu 0.8112 0.1888 0.2500
Cu2 Cu 0.1888 0.8112 0.7500
P1 P 0.8643 0.1357 0.7500
P2 P 0.1357 0.8643 0.2500
O1 O 0.2491 0.1973 0.2500
O2 O 0.1973 0.2491 0.7500
O3 O 0.7526 0.2474 0.5482
O4 O 0.7526 0.2474 0.9518
O5 O 0.2474 0.7526 0.0482
O6 O 0.2474 0.7526 0.4518
O7 O 0.8027 0.7509 0.2500
O8 O 0.7509 0.8027 0.7500
```

## Properties
**Crystal system**: orthorhombic

***

B.
Compound: LiCuPO4
Source: the Materials Project database
Functional: PBE
Structure: optimized geometry

Geometry as CIF:
```
data_LiCuPO4
_symmetry_space_group_name_H-M 'P 1'
_symmetry_Int_Tables_number 1
_cell_length_a 4.9374
_cell_length_b 6.9712
_cell_length_c 9.8986
_cell_angle_alpha 90.00
_cell_angle_beta 90.00
_cell_angle_gamma 90.00
loop_
_symmetry_equiv_pos_as_xyz
'x,y,z'
loop_
_atom_site_label
_atom_site_type_symbol
_atom_site_fract_x
_atom_site_fract_y
_atom_site_fract_z
Li1 Li 0.6941 0.2869 0.6558
Li2 Li 0.1941 0.7869 0.8442
Li3 Li 0.8059 0.2869 0.1558
Li4 Li 0.3059 0.7869 0.3442
Cu1 Cu 0.7034 0.7850 0.6483
Cu2 Cu 0.2034 0.2850 0.8517
Cu3 Cu 0.7966 0.7850 0.1483
Cu4 Cu 0.2966 0.2850 0.3517
P1 P 0.1893 0.5370 0.5929
P2 P 0.6893 0.0370 0.9071
P3 P 0.3107 0.5370 0.0929
P4 P 0.8107 0.0370 0.4071
O1 O 0.7436 0.0346 0.5604
O2 O 0.8779 0.5350 0.6174
O3 O 0.3107 0.3547 0.6597
O4 O 0.3050 0.7249 0.6540
O5 O 0.8050 0.2249 0.8460
O6 O 0.8107 0.8547 0.8403
O7 O 0.3779 0.0350 0.8826
O8 O 0.2436 0.5346 0.9396
O9 O 0.7564 0.0346 0.0604
O10 O 0.6221 0.5350 0.1174
O11 O 0.1893 0.3547 0.1597
O12 O 0.1950 0.7249 0.1540
O13 O 0.6950 0.2249 0.3460
O14 O 0.6893 0.8547 0.3403
O15 O 0.1221 0.0350 0.3826
O16 O 0.2564 0.5346 0.4396
```

## Properties
**Crystal system**: orthorhombic

***

Which of them is the least stable? Correct choice: A.